DFT (PBE) results for a relaxed Hf5Sn3 crystal.

Cell: 8.4658 8.4658 5.7162 Å, 90.00 90.00 120.00°
With the nearest neighbours (Å) after each atom.
Positions (direct):
Hf1 0.6667 0.3333 0.5000  2 Hf 2.86, 6 Sn 2.97
Hf2 0.3333 0.6667 0.5000  2 Hf 2.86, 6 Sn 2.97
Hf3 0.7579 0.0000 0.2500  5 Sn 2.91-3.13
Hf4 0.6667 0.3333 0.0000  2 Hf 2.86, 6 Sn 2.97
Hf5 0.2421 0.0000 0.7500  5 Sn 2.91-3.13
Hf6 0.0000 0.2421 0.7500  5 Sn 2.91-3.13
Hf7 0.0000 0.7579 0.2500  5 Sn 2.91-3.13
Hf8 0.7579 0.7579 0.7500  5 Sn 2.91-3.13
Hf9 0.2421 0.2421 0.2500  5 Sn 2.91-3.13
Hf10 0.3333 0.6667 0.0000  2 Hf 2.86, 6 Sn 2.97
Sn1 0.6066 0.6066 0.2500  9 Hf 2.91-3.13
Sn2 0.0000 0.6066 0.7500  9 Hf 2.91-3.13
Sn3 0.0000 0.3934 0.2500  9 Hf 2.91-3.13
Sn4 0.3934 0.3934 0.7500  9 Hf 2.91-3.13
Sn5 0.3934 0.0000 0.2500  9 Hf 2.91-3.13
Sn6 0.6066 0.0000 0.7500  9 Hf 2.91-3.13

Output
- SG: P6_3/mcm
- E_form: -0.380 eV per atom
- Raw total energy: -8.107 eV per atom
- Calculated volume: 22.175 A^3/atom